VASP calculation (PBE) on a relaxed MgP4Rh6 crystal.

Cell lengths 7.112, 7.112, 3.540 Å; angles 90.00, 90.00, 120.00 degrees
Fractional positions:
Mg 0.000 0.000 0.000
P 0.812 0.188 0.500
P 0.376 0.188 0.500
P 0.333 0.667 0.000
P 0.812 0.624 0.500
Rh 0.191 0.809 0.500
Rh 0.191 0.383 0.500
Rh 0.534 0.069 0.000
Rh 0.931 0.466 0.000
Rh 0.534 0.466 0.000
Rh 0.617 0.809 0.500

Spin magnetization   0.00 μB/atom
E_form   -0.727 eV per atom
ρ   8199 kg/m³